The following is a PBE calculation of TmAlGe after structural relaxation, from the Materials Project database.

CIF file:
```
data_TmAlGe
_chemical_formula_sum 'Tm2 Al2 Ge2'
_symmetry_space_group_name_H-M 'P 1'
_symmetry_Int_Tables_number 1
_symmetry_space_group_name_Hall 'P 1'
_cell_length_a 5.558
_cell_length_b 5.558
_cell_length_c 5.721
_cell_angle_alpha 90.00
_cell_angle_beta 90.00
_cell_angle_gamma 137.16
loop_
_atom_site_label
_atom_site_fract_x
_atom_site_fract_y
_atom_site_fract_z
_atom_site_occupancy
Tm1 0.190 0.810 0.750 1
Tm2 0.810 0.190 0.250 1
Al1 0.500 0.500 0.000 1
Al2 0.500 0.500 0.500 1
Ge1 0.107 0.893 0.250 1
Ge2 0.893 0.107 0.750 1
```

Total energy in eV per atom: -4.910
Energy of formation from the pure elements in eV/atom: -0.63


The following is a PBE calculation of CrCoGe after structural relaxation, from the Materials Project database.

CIF file:
```
data_CrCoGe
_chemical_formula_sum 'Cr2 Co2 Ge2'
_symmetry_space_group_name_H-M 'P 1'
_symmetry_Int_Tables_number 1
_symmetry_space_group_name_Hall 'P 1'
_cell_length_a 4.101
_cell_length_b 4.101
_cell_length_c 5.104
_cell_angle_alpha 90.00
_cell_angle_beta 90.00
_cell_angle_gamma 120.00
loop_
_atom_site_label
_atom_site_fract_x
_atom_site_fract_y
_atom_site_fract_z
_atom_site_occupancy
Cr1 0.000 0.000 0.000 1
Cr2 0.000 0.000 0.500 1
Co1 0.333 0.667 0.250 1
Co2 0.667 0.333 0.750 1
Ge1 0.333 0.667 0.750 1
Ge2 0.667 0.333 0.250 1
```

Total energy in eV per atom: -7.216
Energy of formation from the pure elements in eV/atom: -0.09


The following is a PBE calculation of K2Cu3Se4O12 after structural relaxation, from the Materials Project database.

CIF file:
```
data_K2Cu3Se4O12
_chemical_formula_sum 'K2 Cu3 Se4 O12'
_symmetry_space_group_name_H-M 'P 1'
_symmetry_Int_Tables_number 1
_symmetry_space_group_name_Hall 'P 1'
_cell_length_a 5.501
_cell_length_b 7.483
_cell_length_c 8.576
_cell_angle_alpha 96.21
_cell_angle_beta 108.39
_cell_angle_gamma 93.19
loop_
_atom_site_label
_atom_site_fract_x
_atom_site_fract_y
_atom_site_fract_z
_atom_site_occupancy
K1 0.152 0.084 0.300 1
K2 0.848 0.916 0.700 1
Cu1 0.000 0.500 0.000 1
Cu2 0.401 0.248 0.781 1
Cu3 0.599 0.752 0.219 1
Se1 0.195 0.636 0.413 1
Se2 0.424 0.685 0.871 1
Se3 0.576 0.315 0.129 1
Se4 0.805 0.364 0.587 1
O1 0.054 0.227 0.616 1
O2 0.113 0.471 0.240 1
O3 0.268 0.710 0.028 1
O4 0.275 0.262 0.972 1
O5 0.372 0.869 0.773 1
O6 0.442 0.777 0.393 1
O7 0.558 0.223 0.607 1
O8 0.628 0.131 0.227 1
O9 0.725 0.738 0.028 1
O10 0.732 0.290 0.972 1
O11 0.887 0.529 0.760 1
O12 0.946 0.773 0.384 1
```

Total energy in eV per atom: -5.124
Energy of formation from the pure elements in eV/atom: -1.33


The following is a PBE calculation of Ca2SnS4 after structural relaxation, from the Materials Project database.

CIF file:
```
data_Ca2SnS4
_chemical_formula_sum 'Ca4 Sn2 S8'
_symmetry_space_group_name_H-M 'P 1'
_symmetry_Int_Tables_number 1
_symmetry_space_group_name_Hall 'P 1'
_cell_length_a 7.987
_cell_length_b 7.987
_cell_length_c 7.987
_cell_angle_alpha 60.00
_cell_angle_beta 60.00
_cell_angle_gamma 60.00
loop_
_atom_site_label
_atom_site_fract_x
_atom_site_fract_y
_atom_site_fract_z
_atom_site_occupancy
Ca1 0.000 0.000 0.000 1
Ca2 0.000 0.000 0.500 1
Ca3 0.000 0.500 0.000 1
Ca4 0.500 0.000 0.000 1
Sn1 0.375 0.375 0.375 1
Sn2 0.625 0.625 0.625 1
S1 0.250 0.250 0.250 1
S2 0.250 0.250 0.750 1
S3 0.250 0.750 0.250 1
S4 0.250 0.750 0.750 1
S5 0.750 0.250 0.250 1
S6 0.750 0.250 0.750 1
S7 0.750 0.750 0.250 1
S8 0.750 0.750 0.750 1
```

Excess energy over the best structure of this formula in the dataset in kJ/mol of formula units: 61
Total energy in eV per atom: -4.810
Energy of formation from the pure elements in eV/atom: -1.59


The following is a PBE calculation of KZr2BiO6 after structural relaxation, from the Materials Project database.

CIF file:
```
data_KZr2BiO6
_chemical_formula_sum 'K1 Zr2 Bi1 O6'
_symmetry_space_group_name_H-M 'P 1'
_symmetry_Int_Tables_number 1
_symmetry_space_group_name_Hall 'P 1'
_cell_length_a 5.922
_cell_length_b 5.922
_cell_length_c 5.922
_cell_angle_alpha 60.00
_cell_angle_beta 60.00
_cell_angle_gamma 60.00
loop_
_atom_site_label
_atom_site_fract_x
_atom_site_fract_y
_atom_site_fract_z
_atom_site_occupancy
K1 0.000 0.000 0.000 1
Zr1 0.250 0.250 0.250 1
Zr2 0.750 0.750 0.750 1
Bi1 0.500 0.500 0.500 1
O1 0.000 0.000 0.500 1
O2 0.000 0.500 0.000 1
O3 0.000 0.500 0.500 1
O4 0.500 0.000 0.000 1
O5 0.500 0.000 0.500 1
O6 0.500 0.500 0.000 1
```

Total energy in eV per atom: -7.553
Energy of formation from the pure elements in eV/atom: -2.79


The following is a PBE calculation of Tb3Co2Si3 after structural relaxation, from the Materials Project database.

CIF file:
```
data_Tb3Co2Si3
_chemical_formula_sum 'Tb6 Co4 Si6'
_symmetry_space_group_name_H-M 'P 1'
_symmetry_Int_Tables_number 1
_symmetry_space_group_name_Hall 'P 1'
_cell_length_a 5.648
_cell_length_b 5.648
_cell_length_c 13.694
_cell_angle_alpha 90.00
_cell_angle_beta 90.00
_cell_angle_gamma 137.36
loop_
_atom_site_label
_atom_site_fract_x
_atom_site_fract_y
_atom_site_fract_z
_atom_site_occupancy
Tb1 0.081 0.919 0.612 1
Tb2 0.081 0.919 0.888 1
Tb3 0.363 0.637 0.750 1
Tb4 0.637 0.363 0.250 1
Tb5 0.919 0.081 0.112 1
Tb6 0.919 0.081 0.388 1
Co1 0.214 0.786 0.080 1
Co2 0.214 0.786 0.420 1
Co3 0.786 0.214 0.580 1
Co4 0.786 0.214 0.920 1
Si1 0.330 0.670 0.250 1
Si2 0.377 0.623 0.540 1
Si3 0.377 0.623 0.960 1
Si4 0.623 0.377 0.040 1
Si5 0.623 0.377 0.460 1
Si6 0.670 0.330 0.750 1
```

Total energy in eV per atom: -6.277
Energy of formation from the pure elements in eV/atom: -0.70